[1]
Entry from the Materials Project: an optimized crystal structure of Mg5As (PBE-GGA).

Cell: 7.8909 7.8909 5.1385 Å, 90.00 90.00 155.81°
With the nearest neighbours (Å) after each atom.
Fractional coordinates of all 6 atoms:
Mg: 0.3287 0.6713 0.0000  8 Mg 2.98-3.31, 4 As 3.16
Mg: 0.0003 0.9997 0.0000  12 Mg 3.07-3.31
Mg: 0.1201 0.8799 0.5000  2 As 2.91, 8 Mg 3.14-3.22
Mg: 0.4409 0.5591 0.5000  2 As 3.04, 10 Mg 3.10-3.31
Mg: 0.6679 0.3321 0.0000  10 Mg 2.98-3.31, 2 As 3.06
As: 0.7754 0.2246 0.5000  10 Mg 2.91-3.16

Relative energy among the computed polymorphs ... 0.0 meV per atom
Space-group type ... Amm2, No. 38
Calculated formation energy ... -0.0998 eV/atom

[2]
Entry from the Materials Project: an optimized crystal structure of ReSi4W (PBE-GGA).

Cell: 3.2128 3.2128 7.8529 Å, 90.00 90.00 90.00°
With the nearest neighbours (Å) after each atom.
Fractional coordinates of all 6 atoms:
Si: 0.5000 0.5000 0.1669  1 W 2.62, 5 Si 2.62, 4 Re 2.62
Si: 0.5000 0.5000 0.8331  1 W 2.62, 5 Si 2.62, 4 Re 2.62
Si: 0.0000 0.0000 0.6673  1 Re 2.61, 5 Si 2.62-2.63, 4 W 2.62
Si: 0.0000 0.0000 0.3327  1 Re 2.61, 5 Si 2.62-2.63, 4 W 2.62
Re: 0.0000 0.0000 0.0000  10 Si 2.61-2.62
W: 0.5000 0.5000 0.5000  10 Si 2.62

Space-group type ... P4/mmm, No. 123
Calculated formation energy ... -0.2821 eV/atom

[3]
Entry from the Materials Project: an optimized crystal structure of Na4Zn3SiGeS5O24 (PBE-GGA).

Cell: 8.8089 8.8316 22.1638 Å, 90.86 89.99 120.27°
With the nearest neighbours (Å) after each atom.
Fractional coordinates of all 114 atoms:
O: 0.7983 0.8102 0.9068  1 S 1.48
O: 0.5162 0.1633 0.9266  1 Si 1.69, 1 Ge 1.85
O: 0.6187 0.4999 0.6395  1 Si 1.60
O: 0.3946 0.8820 0.8599  1 Si 1.69, 1 Ge 1.82
O: 0.8155 0.0092 0.4131  1 S 1.48
O: 0.5523 0.7000 0.9713  1 S 1.46
O: 0.5294 0.9039 0.3636  1 S 1.48
O: 0.1965 0.2272 0.6957  1 S 1.49
O: 0.8591 0.5189 0.7482  1 S 1.48
O: 0.7815 0.8041 0.1953  1 S 1.47
O: 0.2156 0.2125 0.8067  1 S 1.48
O: 0.1132 0.6342 0.3659  1 S 1.47
O: 0.6482 0.1615 0.4247  1 S 1.54
O: 0.3733 0.4968 0.0788  1 S 1.47
O: 0.2050 0.1747 0.0822  1 S 1.48
O: 0.8599 0.5187 0.1352  1 S 1.45
O: 0.0003 0.8081 0.4152  1 S 1.48
O: 0.6766 0.5222 0.2463  1 S 1.50
O: 0.4712 0.3118 0.0254  1 S 1.57
O: 0.5086 0.8186 0.7570  1 S 1.53
O: 0.9787 0.1934 0.3051  1 S 1.48
O: 0.8485 0.3717 0.9277  1 Si 1.69, 1 Ge 1.86
O: 0.1251 0.5152 0.8598  1 Si 1.70, 1 Ge 1.82
O: 0.4790 0.3471 0.1384  1 S 1.47
O: 0.6480 0.1291 0.1346  1 S 1.46
O: 0.8489 0.8150 0.5855  1 Si 1.64
O: 0.0294 0.2150 0.1957  1 S 1.49
O: 0.2135 0.0272 0.3036  1 S 1.49
O: 0.8324 0.0287 0.0854  1 S 1.48
O: 0.7677 0.9649 0.6990  1 S 1.48
O: 0.1295 0.6777 0.4761  1 S 1.48
O: 0.1245 0.6363 0.0801  1 S 1.47
O: 0.2925 0.8405 0.9765  1 Si 1.58
O: 0.9901 0.7860 0.8069  1 S 1.48
O: 0.1649 0.4740 0.2562  1 S 1.51
O: 0.9656 0.7976 0.0835  1 S 1.48
O: 0.1805 0.6956 0.7555  1 S 1.54
O: 0.8442 0.5359 0.0240  1 S 1.56
O: 0.3151 0.8413 0.2547  1 S 1.48
O: 0.1840 0.1820 0.4119  1 S 1.48
O: 0.3429 0.8631 0.5728  1 S 1.48
O: 0.8697 0.3503 0.6359  1 S 1.46
O: 0.0297 0.8003 0.6963  1 S 1.48
O: 0.3150 0.4915 0.7567  1 S 1.53
O: 0.4774 0.3319 0.7496  1 S 1.48
O: 0.4885 0.1157 0.6366  1 S 1.46
O: 0.5200 0.6795 0.2551  1 S 1.51
O: 0.6612 0.1417 0.7484  1 S 1.48
O: 0.3163 0.4437 0.4725  1 S 1.48
O: 0.6327 0.4976 0.9211  1 S 1.51
O: 0.8057 0.7861 0.3056  1 S 1.47
O: 0.1690 0.9881 0.9085  1 Si 1.62
O: 0.1913 0.9739 0.1937  1 S 1.48
O: 0.8380 0.2919 0.5252  1 S 1.53
O: 0.8505 0.4865 0.4217  1 S 1.54
O: 0.5043 0.3466 0.4226  1 S 1.54
O: 0.4701 0.1580 0.5266  1 S 1.53
O: 0.9926 0.1755 0.9069  1 Si 1.61
O: 0.2114 0.0426 0.5853  1 S 1.49
O: 0.7873 0.0088 0.8093  1 S 1.48
O: 0.8447 0.3175 0.2455  1 S 1.48
O: 0.1234 0.4945 0.5747  1 S 1.49
O: 0.1764 0.4415 0.9741  1 Si 1.59
O: 0.5564 0.8803 0.4733  1 S 1.47
O: 0.9854 0.1808 0.5843  1 S 1.48
O: 0.5123 0.8631 0.0771  1 S 1.46
O: 0.6950 0.1432 0.0238  1 S 1.57
O: 0.3653 0.4661 0.3625  1 S 1.48
O: 0.4723 0.1611 0.2458  1 S 1.51
O: 0.4997 0.6218 0.8623  1 S 1.52
O: 0.7116 0.5326 0.5233  1 Si 1.71, 1 Ge 1.77
O: 0.4889 0.6412 0.5755  1 Si 1.62
S: 0.0010 0.2967 0.2507  4 O 1.48-1.51
S: 0.6192 0.6606 0.9167  4 O 1.46-1.52
S: 0.2947 0.9973 0.2494  4 O 1.48-1.51
S: 0.7014 0.7035 0.2504  4 O 1.47-1.51
S: 0.3822 0.0456 0.5817  4 O 1.46-1.53
S: 0.6860 0.9892 0.7537  4 O 1.48-1.53
S: 0.0298 0.6584 0.4200  4 O 1.47-1.54
S: 0.0085 0.7006 0.7519  4 O 1.48-1.54
S: 0.9518 0.6233 0.0832  4 O 1.45-1.56
S: 0.6692 0.0373 0.0830  4 O 1.46-1.57
S: 0.9521 0.3291 0.5816  4 O 1.46-1.53
S: 0.3806 0.3352 0.0831  4 O 1.47-1.57
S: 0.6362 0.9814 0.4188  4 O 1.47-1.54
S: 0.3002 0.3117 0.7518  4 O 1.48-1.53
S: 0.3381 0.3610 0.4172  4 O 1.48-1.54
Na: 0.9736 0.9855 0.4981  5 O 2.38-2.64
Na: 0.3137 0.2922 0.9205  5 O 2.33-2.56
Na: 0.6807 0.3303 0.3315  6 O 2.43-2.59
Na: 0.6977 0.0264 0.9117  4 O 2.25-2.48
Na: 0.0143 0.0139 0.0013  5 O 2.36-2.61
Na: 0.3670 0.6800 0.6651  4 O 2.36-2.64
Na: 0.3614 0.3617 0.2504  5 O 2.39-2.63
Na: 0.0297 0.7007 0.5817  4 O 2.28-2.54
Na: 0.9827 0.6805 0.9190  5 O 2.37-2.66
Na: 0.6657 0.3275 0.8274  5 O 2.37-2.65
Na: 0.3085 0.3414 0.5889  4 O 2.32-2.58
Na: 0.3313 0.6794 0.1649  6 O 2.48-2.64
Zn: 0.9976 0.9988 0.3486  5 O 2.01-2.18
Zn: 0.9957 0.9935 0.1500  5 O 2.06-2.17
Zn: 0.3171 0.6618 0.0150  2 O 1.91
Zn: 0.9688 0.9815 0.6513  2 O 1.94-2.00
Zn: 0.3342 0.6798 0.3198  6 O 2.05-2.26
Zn: 0.3556 0.6748 0.5134  4 O 1.93-2.15
Zn: 0.0099 0.0119 0.8484  5 O 1.99-2.13
Zn: 0.6730 0.3315 0.1851  6 O 1.99-2.14
Zn: 0.6612 0.3433 0.6834  3 O 1.89-2.09
Ge: 0.6734 0.3428 0.4828  3 O 1.77-1.97
Ge: 0.6715 0.3188 0.9837  5 O 1.85-1.96
Ge: 0.3200 0.6747 0.8197  3 O 1.82-1.95
Si: 0.6647 0.6270 0.5831  4 O 1.60-1.71
Si: 0.0416 0.3760 0.9187  4 O 1.59-1.70
Si: 0.3354 0.9617 0.9197  4 O 1.58-1.69

Space-group type ... P1, No. 1
Calculated formation energy ... -2.0309 eV/atom

[4]
Entry from the Materials Project: an optimized crystal structure of RbRuN2 (PBE-GGA).

Cell: 5.9434 11.8782 16.7093 Å, 90.00 90.00 90.00°
With the nearest neighbours (Å) after each atom.
Fractional coordinates of all 64 atoms:
Rb: 0.7495 0.5037 0.0636  4 N 3.02-3.07
Rb: 0.7505 0.4963 0.5636  4 N 3.02-3.07
Rb: 0.2495 0.5037 0.4364  4 N 3.02-3.07
Rb: 0.6851 0.7553 0.1870  8 N 3.13-3.50
Rb: 0.2505 0.4963 0.9364  4 N 3.02-3.07
Rb: 0.3149 0.2553 0.3130  8 N 3.13-3.50
Rb: 0.2505 0.0037 0.4364  4 N 3.02-3.07
Rb: 0.6851 0.7447 0.6870  8 N 3.13-3.50
Rb: 0.1851 0.7447 0.8130  8 N 3.13-3.50
Rb: 0.7495 0.9963 0.5636  4 N 3.02-3.07
Rb: 0.8149 0.2447 0.6870  8 N 3.13-3.50
Rb: 0.1851 0.7553 0.3130  8 N 3.13-3.50
Rb: 0.7505 0.0037 0.0636  4 N 3.02-3.07
Rb: 0.3149 0.2447 0.8130  8 N 3.13-3.50
Rb: 0.2495 0.9963 0.9364  4 N 3.02-3.07
Rb: 0.8149 0.2553 0.1870  8 N 3.13-3.50
N: 0.9593 0.5138 0.7296  2 Ru 1.88
N: 0.9172 0.7716 0.0193  2 Ru 1.88-1.89
N: 0.2805 0.1486 0.1422  2 Ru 1.87-1.88
N: 0.7957 0.6012 0.8941  2 Ru 1.88
N: 0.4172 0.7284 0.9807  2 Ru 1.88-1.89
N: 0.5828 0.2284 0.5193  2 Ru 1.88-1.89
N: 0.2195 0.6486 0.1422  2 Ru 1.87-1.88
N: 0.7043 0.1012 0.8941  2 Ru 1.88
N: 0.7043 0.3988 0.3941  2 Ru 1.88
N: 0.7805 0.1486 0.3578  2 Ru 1.87-1.88
N: 0.9172 0.7284 0.5193  2 Ru 1.88-1.89
N: 0.0407 0.4862 0.2704  2 Ru 1.88
N: 0.2805 0.3514 0.6422  2 Ru 1.87-1.88
N: 0.2043 0.3988 0.1059  2 Ru 1.88
N: 0.2957 0.6012 0.6059  2 Ru 1.88
N: 0.7195 0.6486 0.3578  2 Ru 1.87-1.88
N: 0.7805 0.3514 0.8578  2 Ru 1.87-1.88
N: 0.7195 0.8514 0.8578  2 Ru 1.87-1.88
N: 0.5407 0.4862 0.2296  2 Ru 1.88
N: 0.5828 0.2716 0.0193  2 Ru 1.88-1.89
N: 0.2043 0.1012 0.6059  2 Ru 1.88
N: 0.2957 0.8988 0.1059  2 Ru 1.88
N: 0.4593 0.5138 0.7704  2 Ru 1.88
N: 0.0828 0.2716 0.4807  2 Ru 1.88-1.89
N: 0.0407 0.0138 0.7704  2 Ru 1.88
N: 0.5407 0.0138 0.7296  2 Ru 1.88
N: 0.7957 0.8988 0.3941  2 Ru 1.88
N: 0.4172 0.7716 0.4807  2 Ru 1.88-1.89
N: 0.9593 0.9862 0.2296  2 Ru 1.88
N: 0.4593 0.9862 0.2704  2 Ru 1.88
N: 0.2195 0.8514 0.6422  2 Ru 1.87-1.88
N: 0.0828 0.2284 0.9807  2 Ru 1.88-1.89
Ru: 0.2506 0.9953 0.6875  4 N 1.88
Ru: 0.7094 0.7409 0.9376  4 N 1.87-1.89
Ru: 0.7494 0.0047 0.3125  4 N 1.88
Ru: 0.7494 0.4953 0.8125  4 N 1.88
Ru: 0.2906 0.2591 0.0624  4 N 1.87-1.89
Ru: 0.7906 0.2409 0.9376  4 N 1.87-1.89
Ru: 0.7094 0.7591 0.4376  4 N 1.87-1.89
Ru: 0.2506 0.5047 0.1875  4 N 1.88
Ru: 0.2494 0.0047 0.1875  4 N 1.88
Ru: 0.7906 0.2591 0.4376  4 N 1.87-1.89
Ru: 0.2494 0.4953 0.6875  4 N 1.88
Ru: 0.2906 0.2409 0.5624  4 N 1.87-1.89
Ru: 0.2094 0.7409 0.5624  4 N 1.87-1.89
Ru: 0.2094 0.7591 0.0624  4 N 1.87-1.89
Ru: 0.7506 0.9953 0.8125  4 N 1.88
Ru: 0.7506 0.5047 0.3125  4 N 1.88

Space-group type ... Pbca, No. 61
Calculated formation energy ... -0.0413 eV/atom

[5]
Entry from the Materials Project: an optimized crystal structure of NiTe2Pd2 (PBE-GGA).

Cell: 7.0583 7.0583 7.0583 Å, 137.04 126.33 71.07°
With the nearest neighbours (Å) after each atom.
Fractional coordinates of all 10 atoms:
Te: 0.9260 0.6464 0.2796  2 Ni 2.54, 3 Pd 2.67-2.79
Te: 0.3668 0.1464 0.2204  2 Ni 2.54, 3 Pd 2.67-2.79
Te: 0.6332 0.8536 0.7796  2 Ni 2.54, 3 Pd 2.67-2.79
Te: 0.0740 0.3536 0.7204  2 Ni 2.54, 3 Pd 2.67-2.79
Ni: 0.0000 0.2500 0.2500  4 Te 2.54, 2 Ni 2.58
Ni: 0.0000 0.7500 0.7500  4 Te 2.54, 2 Ni 2.58
Pd: 0.2626 0.8958 0.3668  4 Te 2.67-2.92, 2 Ni 2.93, 1 Pd 2.93
Pd: 0.4709 0.6042 0.8668  4 Te 2.67-2.92, 2 Ni 2.93, 1 Pd 2.93
Pd: 0.7374 0.1042 0.6332  4 Te 2.67-2.92, 2 Ni 2.93, 1 Pd 2.93
Pd: 0.5291 0.3958 0.1332  4 Te 2.67-2.92, 2 Ni 2.93, 1 Pd 2.93

Space-group type ... Ibam, No. 72
Calculated formation energy ... -0.3191 eV/atom

[6]
Entry from the Materials Project: an optimized crystal structure of Na3As3H2O10 (PBE-GGA).

Cell: 7.4983 7.4983 18.8622 Å, 80.97 80.97 86.57°
With the nearest neighbours (Å) after each atom.
Fractional coordinates of all 72 atoms:
O: 0.8309 0.2122 0.8726  1 H 1.58, 1 As 1.69
O: 0.8561 0.5236 0.4208  1 O 1.48
O: 0.7878 0.1691 0.6274  1 H 1.58, 1 As 1.69
O: 0.1393 0.4737 0.0605  1 As 1.69
O: 0.5236 0.8561 0.9208  1 O 1.48
O: 0.9562 0.6522 0.4500  1 H 1.03
O: 0.3698 0.5177 0.4451  1 H 1.00
O: 0.4297 0.1066 0.8080  2 As 1.78-1.92
O: 0.5177 0.3698 0.9451  1 H 1.00
O: 0.7743 0.5586 0.2034  1 As 1.67
O: 0.0438 0.3478 0.5500  1 H 1.03
O: 0.8569 0.8521 0.7752  1 As 1.69
O: 0.1479 0.1431 0.7248  1 As 1.69
O: 0.1691 0.7878 0.1274  1 H 1.58, 1 As 1.69
O: 0.3460 0.4692 0.1817  2 As 1.77-1.81
O: 0.2257 0.4414 0.7966  1 As 1.67
O: 0.6522 0.9562 0.9500  1 H 1.03
O: 0.4764 0.1439 0.0792  1 O 1.48
O: 0.1904 0.7830 0.6217  1 As 1.72
O: 0.5263 0.8607 0.4395  1 As 1.69
O: 0.5308 0.6540 0.3183  2 As 1.77-1.81
O: 0.8521 0.8569 0.2752  1 As 1.69
O: 0.8096 0.2170 0.3783  1 As 1.72
O: 0.1066 0.4297 0.3080  2 As 1.78-1.92
O: 0.4737 0.1393 0.5605  1 As 1.69
O: 0.6540 0.5308 0.8183  2 As 1.77-1.81
O: 0.7830 0.1904 0.1217  1 As 1.72
O: 0.1431 0.1479 0.2248  1 As 1.69
O: 0.4692 0.3460 0.6817  2 As 1.77-1.81
O: 0.8607 0.5263 0.9395  1 As 1.69
O: 0.1439 0.4764 0.5792  1 O 1.48
O: 0.8934 0.5703 0.6920  2 As 1.78-1.92
O: 0.4823 0.6302 0.0549  1 H 1.00
O: 0.3478 0.0438 0.0500  1 H 1.03
O: 0.5703 0.8934 0.1920  2 As 1.78-1.92
O: 0.2170 0.8096 0.8783  1 As 1.72
O: 0.5586 0.7743 0.7034  1 As 1.67
O: 0.4414 0.2257 0.2966  1 As 1.67
O: 0.2122 0.8309 0.3726  1 H 1.58, 1 As 1.69
O: 0.6302 0.4823 0.5549  1 H 1.00
As: 0.2622 0.2954 0.2556  4 O 1.67-1.81
As: 0.4103 0.7383 0.3956  4 O 1.69-1.78
As: 0.2617 0.5897 0.1044  4 O 1.69-1.78
As: 0.2954 0.2622 0.7556  4 O 1.67-1.81
As: 0.6899 0.0065 0.0999  3 O 1.72-1.92
As: 0.3101 0.9935 0.9001  3 O 1.72-1.92
As: 0.5897 0.2617 0.6044  4 O 1.69-1.78
As: 0.9935 0.3101 0.4001  3 O 1.72-1.92
As: 0.7378 0.7046 0.7444  4 O 1.67-1.81
As: 0.7046 0.7378 0.2444  4 O 1.67-1.81
As: 0.0065 0.6899 0.5999  3 O 1.72-1.92
As: 0.7383 0.4103 0.8956  4 O 1.69-1.78
H: 0.6937 0.0632 0.9111  1 O 1.03
H: 0.0632 0.6937 0.4111  1 O 1.03
H: 0.2935 0.5234 0.4932  1 O 1.00
H: 0.5234 0.2935 0.9932  1 O 1.00
H: 0.9368 0.3063 0.5889  1 O 1.03
H: 0.3063 0.9368 0.0889  1 O 1.03
H: 0.4766 0.7065 0.0068  1 O 1.00
H: 0.7065 0.4766 0.5068  1 O 1.00
Na: 0.8253 0.9105 0.3907  4 O 2.25-2.32, 1 H 2.38
Na: 0.1761 0.8239 0.2500  4 O 2.38-2.41
Na: 0.0895 0.1747 0.1093  4 O 2.25-2.32, 1 H 2.38
Na: 0.2184 0.4935 0.9184  5 O 2.37-2.65
Na: 0.7634 0.2366 0.2500  4 O 2.44-2.48
Na: 0.7816 0.5065 0.0816  5 O 2.37-2.65
Na: 0.8239 0.1761 0.7500  4 O 2.38-2.41
Na: 0.9105 0.8253 0.8907  4 O 2.25-2.32, 1 H 2.38
Na: 0.4935 0.2184 0.4184  5 O 2.37-2.65
Na: 0.2366 0.7634 0.7500  4 O 2.44-2.48
Na: 0.1747 0.0895 0.6093  4 O 2.25-2.32, 1 H 2.38
Na: 0.5065 0.7816 0.5816  5 O 2.37-2.65

Space-group type ... C2/c, No. 15
Calculated formation energy ... -1.6417 eV/atom